# 1
The following is a DFT calculation (PBE) of Na6ZnH4S4O18 after structural relaxation. Values from VASP.

Summary:
The calculation puts the relative energy among the computed polymorphs at 0 meV/atom. Its symmetry is P-1. Its total moment is 0.00 μB per formula unit.

Quantum ESPRESSO input file:
```
&SYSTEM
  ibrav = 0, nat = 33, ntyp = 5
/
ATOMIC_SPECIES
Na 22.99 Na.upf
Zn 65.41 Zn.upf
H 1.01 H.upf
S 32.06 S.upf
O 16.00 O.upf
CELL_PARAMETERS angstrom
5.982 -0.004 1.354
1.334 6.367 2.345
0.011 -0.012 10.260
ATOMIC_POSITIONS angstrom
Na 3.032 1.847 10.445
Na 4.295 4.503 3.513
Na 6.786 4.980 9.991
Na 0.541 1.370 3.967
Na 2.696 1.657 6.648
Na 4.631 4.693 7.310
Zn 0.000 0.000 0.000
H 6.429 2.327 11.085
H 0.898 4.023 2.874
H 5.934 2.263 2.390
H 1.393 4.087 11.569
S 5.600 1.685 8.733
S 1.727 4.665 5.226
S 3.736 5.048 10.683
S 3.591 1.303 3.275
O 5.090 0.731 9.785
O 2.237 5.619 4.174
O 0.274 0.916 6.294
O 7.053 5.434 7.664
O 0.632 2.606 7.999
O 6.695 3.744 5.959
O 4.430 2.449 8.220
O 2.897 3.901 5.739
O 4.673 4.111 11.342
O 2.654 2.239 2.617
O 4.418 5.727 9.549
O 2.910 0.623 4.410
O 3.287 6.088 11.687
O 4.040 0.262 2.271
O 2.529 4.299 10.191
O 4.798 2.051 3.767
O 0.617 1.916 10.623
O 6.711 4.434 3.335
```

=====

# 2
The following is a DFT calculation (PBE) of LaYAl4 after structural relaxation. Values from VASP.

Summary:
Its symmetry is F-43m. Its total moment is 0.00 μB per formula unit.

Quantum ESPRESSO input file:
```
&SYSTEM
  ibrav = 0, nat = 6, ntyp = 3
/
ATOMIC_SPECIES
La 138.91 La.upf
Y 88.91 Y.upf
Al 26.98 Al.upf
CELL_PARAMETERS angstrom
-3.291 4.027 2.266
-0.488 5.038 -2.561
-4.871 1.437 -2.528
ATOMIC_POSITIONS angstrom
La -6.487 7.877 -2.117
Y 0.000 0.000 0.000
Al -3.244 3.938 -1.058
Al -3.488 6.458 -2.339
Al -4.889 5.952 0.075
Al -5.679 4.657 -2.322
```

=====

# 3
The following is a DFT calculation (PBE) of ThAlRh after structural relaxation. Values from VASP.

Summary:
Its symmetry is P-62m.

Quantum ESPRESSO input file:
```
&SYSTEM
  ibrav = 0, nat = 9, ntyp = 3
/
ATOMIC_SPECIES
Th 232.04 Th.upf
Al 26.98 Al.upf
Rh 102.91 Rh.upf
CELL_PARAMETERS angstrom
3.607 -6.248 0.000
3.607 6.248 0.000
0.000 0.000 4.163
ATOMIC_POSITIONS angstrom
Th 1.503 2.604 2.082
Th 4.208 0.000 2.082
Th 1.503 -2.604 2.082
Al 2.768 4.795 0.000
Al 1.678 0.000 0.000
Al 2.768 -4.795 0.000
Rh 3.607 2.083 0.000
Rh 3.607 -2.083 0.000
Rh 0.000 0.000 2.082
```

=====

# 4
The following is a DFT calculation (PBE) of Na3Si2Sn2PO12 after structural relaxation. Values from VASP.

Summary:
Its total moment is 0.00 μB per formula unit.

Quantum ESPRESSO input file:
```
&SYSTEM
  ibrav = 0, nat = 80, ntyp = 5
/
ATOMIC_SPECIES
Na 22.99 Na.upf
Si 28.09 Si.upf
Sn 118.71 Sn.upf
P 30.97 P.upf
O 16.00 O.upf
CELL_PARAMETERS angstrom
12.946 0.000 -8.787
0.000 9.068 0.000
-0.169 0.000 9.103
ATOMIC_POSITIONS angstrom
Na 3.003 6.996 6.914
Na 9.560 6.606 -2.031
Na 9.476 2.462 2.520
Na 3.087 2.072 2.363
Na 6.375 0.978 2.414
Na 6.460 8.090 -2.137
Na -0.098 5.512 6.808
Na -0.013 3.556 2.256
Na 10.428 8.469 -5.155
Na 10.343 0.598 -0.604
Na 3.955 3.935 -0.761
Na 3.870 5.132 3.790
Si 4.449 8.122 3.759
Si 8.272 8.115 1.083
Si 8.357 0.953 -3.469
Si 4.534 0.946 -0.792
Si 10.922 3.588 -0.635
Si 1.799 3.581 5.476
Si 1.884 5.486 0.925
Si 11.007 5.480 -5.186
Sn 1.243 6.803 4.181
Sn 11.453 6.758 0.643
Sn 11.537 2.309 -3.908
Sn 1.328 2.265 -0.371
Sn 7.716 2.269 -0.213
Sn 4.980 2.225 5.037
Sn 5.064 6.843 0.486
Sn 7.801 6.799 -4.764
P -0.099 8.693 6.796
P -0.014 0.375 2.244
P 6.374 4.159 2.402
P 6.459 4.909 -2.149
O 1.846 5.239 5.428
O 10.900 5.230 -0.620
O 10.984 3.837 -5.172
O 1.930 3.829 0.876
O 8.319 0.705 1.034
O 4.427 0.696 3.773
O 4.511 8.371 -0.778
O 8.403 8.363 -3.518
O 5.504 4.991 1.425
O 7.166 5.028 3.386
O 7.251 4.039 -1.166
O 5.589 4.077 -3.127
O 11.977 0.457 -2.969
O 0.694 0.495 7.779
O 0.778 8.573 3.228
O 12.062 8.611 -7.521
O 3.164 7.434 4.500
O 9.610 7.601 0.275
O 9.695 1.466 -4.276
O 3.249 1.634 -0.051
O 9.637 2.900 0.106
O 3.137 3.068 4.669
O 3.222 6.000 0.118
O 9.722 6.168 -4.445
O 4.561 7.751 2.180
O 8.244 7.833 2.697
O 8.329 1.235 -1.855
O 4.646 1.317 -2.371
O 11.034 3.217 -2.214
O 1.771 3.299 7.090
O 1.856 5.769 2.539
O 11.119 5.851 -6.765
O 5.729 7.480 4.577
O 6.982 7.498 0.289
O 7.066 1.570 -4.263
O 5.814 1.588 0.026
O 12.202 2.946 0.183
O 0.509 2.964 4.682
O 0.593 6.103 0.131
O 12.287 6.122 -4.368
O 0.902 7.755 6.087
O 11.806 7.811 -1.229
O 11.890 1.257 -5.781
O 0.986 1.313 1.535
O 7.375 3.221 1.693
O 5.333 3.277 3.164
O 5.417 5.790 -1.387
O 7.459 5.846 -2.858
```

=====

no.,energy of formation (kJ/mol of formula units),calculated volume (Å³/atom)
1,-6320,11.84
2,-286,21.51
3,-263,20.85
4,-4990,13.19